[1]
Density functional theory data (PBE with a Hubbard U) for crystalline Rb2MoC2O8 at its relaxed geometry.

Cell lengths 13.528, 7.740, 9.221 Å; angles 84.33, 90.00, 90.00 degrees
Sites, in units of the cell vectors:
C 0.138 0.466 0.260
O 0.807 0.588 0.300
C 0.362 0.966 0.260
C 0.638 0.034 0.740
O 0.386 0.377 0.597
O 0.263 0.427 0.075
O 0.965 0.948 0.011
Rb 0.364 0.165 0.890
O 0.237 0.927 0.075
O 0.811 0.082 0.690
O 0.931 0.507 0.829
O 0.569 0.007 0.829
O 0.189 0.918 0.310
Mo 0.264 0.439 0.539
O 0.693 0.088 0.300
C 0.246 0.434 0.207
O 0.689 0.582 0.690
Rb 0.014 0.226 0.634
O 0.614 0.623 0.403
O 0.777 0.826 0.489
O 0.535 0.448 0.011
O 0.763 0.073 0.925
Mo 0.736 0.561 0.461
Rb 0.636 0.835 0.110
O 0.223 0.174 0.511
O 0.035 0.052 0.989
Mo 0.236 0.939 0.539
O 0.737 0.573 0.925
Rb 0.514 0.274 0.366
O 0.114 0.877 0.597
C 0.254 0.934 0.207
O 0.307 0.912 0.700
Rb 0.986 0.774 0.366
O 0.886 0.123 0.403
O 0.465 0.552 0.989
O 0.129 0.466 0.400
Rb 0.136 0.665 0.890
O 0.277 0.674 0.511
O 0.371 0.966 0.400
Rb 0.864 0.335 0.110
O 0.069 0.493 0.171
Mo 0.764 0.061 0.461
C 0.862 0.534 0.740
O 0.311 0.418 0.310
O 0.723 0.326 0.489
Rb 0.486 0.726 0.634
O 0.871 0.534 0.600
C 0.746 0.066 0.793
C 0.754 0.566 0.793
O 0.193 0.412 0.700
O 0.431 0.993 0.171
O 0.629 0.034 0.600

Values from the calculation:
DFT formation energy in eV per atom: -1.535
E (MP2020) in eV/cell: -363.217
Total moment in μB/f.u.: 1.0


[2]
Density functional theory data (PBE with a Hubbard U) for crystalline TiNiO3 at its relaxed geometry.

Cell lengths 5.509, 5.509, 5.509 Å; angles 54.85, 54.85, 54.85 degrees
Sites, in units of the cell vectors:
Ni 0.646 0.646 0.646
O 0.068 0.722 0.449
O 0.722 0.449 0.068
O 0.449 0.068 0.722
Ti 0.354 0.354 0.354
Ti 0.854 0.854 0.854
O 0.949 0.222 0.568
O 0.568 0.949 0.222
O 0.222 0.568 0.949
Ni 0.146 0.146 0.146

Values from the calculation:
DFT formation energy in eV per atom: -2.583
E (MP2020) in eV/cell: -82.867
Piezoelectric modulus e_max in C/m2: 2.94


[3]
Density functional theory data (PBE with a Hubbard U) for crystalline Li4Mn5CoO12 at its relaxed geometry.

Cell lengths 5.150, 5.150, 10.264 Å; angles 89.22, 89.22, 120.17 degrees
Sites, in units of the cell vectors:
Mn 0.663 0.337 0.000
Co 0.000 0.000 0.000
O 0.826 0.471 0.390
Li 0.349 0.835 0.749
O 0.991 0.359 0.105
Li 0.165 0.651 0.251
O 0.643 0.643 0.098
O 0.355 0.992 0.105
Mn 0.829 0.171 0.500
Li 0.662 0.160 0.249
Mn 0.337 0.663 0.000
Mn 0.498 0.502 0.500
O 0.131 0.500 0.605
O 0.008 0.645 0.895
O 0.357 0.357 0.902
O 0.641 0.009 0.895
O 0.168 0.181 0.407
O 0.500 0.869 0.395
Li 0.840 0.338 0.751
Mn 0.158 0.842 0.500
O 0.819 0.832 0.593
O 0.529 0.174 0.610

Values from the calculation:
DFT formation energy in eV per atom: -1.950
E (MP2020) in eV/cell: -162.840
Distance to the lowest polymorph of the same formula in meV per atom: 0
Total moment in μB/f.u.: 20.0


[4]
Density functional theory data (PBE with a Hubbard U) for crystalline Mg2TaWO6 at its relaxed geometry.

Cell lengths 7.755, 5.366, 5.461 Å; angles 88.45, 90.00, 90.00 degrees
Sites, in units of the cell vectors:
O 0.250 0.872 0.574
W 0.500 0.500 0.000
Ta 0.000 0.000 0.500
O 0.750 0.128 0.426
O 0.570 0.845 0.815
O 0.431 0.311 0.664
O 0.250 0.639 0.098
O 0.931 0.689 0.336
Mg 0.750 0.007 0.033
Ta 0.500 0.000 0.500
O 0.430 0.155 0.185
Mg 0.250 0.504 0.455
O 0.070 0.155 0.185
O 0.750 0.361 0.902
Mg 0.750 0.496 0.545
O 0.069 0.311 0.664
O 0.930 0.845 0.815
Mg 0.250 0.993 0.967
O 0.569 0.689 0.336
W 0.000 0.500 0.000

Values from the calculation:
DFT formation energy in eV per atom: -2.741
E (MP2020) in eV/cell: -170.231
Distance to the lowest polymorph of the same formula in meV per atom: 58
Total moment in μB/f.u.: 3.0


[5]
Density functional theory data (PBE with a Hubbard U) for crystalline Pr4Mo9O18 at its relaxed geometry.

Cell lengths 11.946, 11.802, 18.509 Å; angles 90.00, 71.05, 119.60 degrees
Sites, in units of the cell vectors:
O 0.025 0.258 0.967
Pr 0.292 0.146 0.226
Pr 0.029 0.181 0.135
Mo 0.396 0.575 0.034
Mo 0.459 0.730 0.329
Pr 0.951 0.475 0.222
Mo 0.653 0.580 0.038
O 0.521 0.760 0.955
Mo 0.886 0.305 0.038
Mo 0.444 0.847 0.474
Mo 0.137 0.569 0.033
O 0.381 0.929 0.685
O 0.078 0.919 0.255
Mo 0.932 0.855 0.476
O 0.824 0.156 0.256
O 0.586 0.665 0.255
O 0.777 0.768 0.968
O 0.284 0.524 0.958
O 0.810 0.275 0.405
Mo 0.444 0.597 0.474
O 0.350 0.675 0.257
Mo 0.593 0.296 0.620
O 0.525 0.506 0.973
O 0.053 0.779 0.408
O 0.040 0.404 0.555
O 0.949 0.719 0.826
Mo 0.986 0.119 0.895
O 0.117 0.441 0.693
O 0.322 0.535 0.403
Mo 0.912 0.081 0.756
O 0.525 0.019 0.973
Mo 0.929 0.586 0.480
Mo 0.674 0.082 0.474
Mo 0.156 0.078 0.756
O 0.087 0.043 0.397
O 0.322 0.661 0.548
Mo 0.932 0.077 0.476
O 0.311 0.155 0.542
Pr 0.431 0.715 0.850
O 0.704 0.352 0.277
O 0.068 0.676 0.256
O 0.696 0.978 0.818
O 0.873 0.937 0.683
O 0.824 0.668 0.256
O 0.456 0.228 0.825
Mo 0.740 0.870 0.891
O 0.534 0.267 0.955
O 0.369 0.019 0.277
O 0.267 0.010 0.966
Mo 0.164 0.832 0.755
Mo 0.084 0.789 0.619
O 0.556 0.160 0.539
Mo 0.093 0.046 0.614
O 0.001 0.374 0.107
O 0.810 0.535 0.405
Pr 0.688 0.844 0.136
O 0.515 0.630 0.107
Mo 0.412 0.079 0.754
O 0.369 0.350 0.277
Pr 0.648 0.158 0.847
O 0.066 0.160 0.538
Mo 0.237 0.119 0.894
O 0.753 0.376 0.113
O 0.922 0.961 0.119
Pr 0.648 0.490 0.847
O 0.507 0.130 0.115
O 0.300 0.402 0.539
O 0.807 0.403 0.558
O 0.381 0.453 0.685
Mo 0.674 0.592 0.474
Mo 0.941 0.213 0.330
O 0.556 0.396 0.539
Mo 0.412 0.332 0.754
O 0.777 0.008 0.968
Pr 0.302 0.476 0.222
O 0.765 0.118 0.112
O 0.776 0.263 0.960
Pr 0.624 0.479 0.229
O 0.068 0.392 0.256
O 0.507 0.377 0.115
O 0.800 0.144 0.543
Mo 0.383 0.080 0.037
Pr 0.667 0.665 0.671
Pr 0.601 0.301 0.418
O 0.867 0.190 0.691
O 0.799 0.399 0.801
Mo 0.681 0.841 0.479
O 0.554 0.656 0.554
O 0.210 0.720 0.817
Mo 0.694 0.972 0.333
O 0.025 0.768 0.967
Mo 0.343 0.038 0.612
O 0.078 0.159 0.255
Mo 0.639 0.320 0.037
O 0.300 0.898 0.539
O 0.867 0.678 0.691
O 0.556 0.514 0.397
O 0.053 0.275 0.408
Pr 0.894 0.447 0.666
O 0.231 0.116 0.114
O 0.765 0.646 0.112
O 0.210 0.490 0.817
O 0.461 0.973 0.817
Pr 0.328 0.664 0.676
Mo 0.694 0.721 0.333
Mo 0.912 0.831 0.756
O 0.461 0.488 0.817
O 0.554 0.899 0.554
Mo 0.084 0.295 0.619
O 0.322 0.787 0.403
Pr 0.277 0.973 0.418
O 0.284 0.759 0.958
O 0.261 0.630 0.103
O 0.586 0.921 0.255
Mo 0.941 0.728 0.330
Mo 0.191 0.595 0.481
Mo 0.164 0.332 0.755
O 0.117 0.676 0.693
Pr 0.624 0.144 0.229
O 0.696 0.718 0.818
O 0.029 0.014 0.960
O 0.063 0.532 0.415
O 0.628 0.187 0.693
O 0.268 0.384 0.105
O 0.000 0.500 0.971
Mo 0.929 0.343 0.480
Mo 0.396 0.821 0.034
O 0.066 0.906 0.538
Pr 0.029 0.848 0.135
O 0.515 0.885 0.107
Pr 0.277 0.304 0.418
O 0.001 0.628 0.107
O 0.267 0.256 0.966
O 0.820 0.910 0.268
Mo 0.886 0.581 0.038
O 0.040 0.636 0.555
Mo 0.343 0.305 0.612
O 0.776 0.514 0.960
Pr 0.302 0.826 0.222
O 0.800 0.656 0.543
Pr 0.994 0.497 0.845
Mo 0.240 0.869 0.891
O 0.788 0.894 0.559
Mo 0.986 0.867 0.895
O 0.556 0.042 0.397
Mo 0.240 0.371 0.891
Pr 0.667 0.002 0.671
Mo 0.383 0.303 0.037
O 0.268 0.884 0.105
O 0.949 0.230 0.826
Mo 0.653 0.073 0.038
Mo 0.946 0.973 0.331
O 0.527 0.763 0.714
O 0.628 0.442 0.693
O 0.411 0.206 0.383

Values from the calculation:
DFT formation energy in eV per atom: -2.200
E (MP2020) in eV/cell: -1369.936
Total moment in μB/f.u.: 6.4


[6]
Density functional theory data (PBE with a Hubbard U) for crystalline SrLaMnSnO6 at its relaxed geometry.

Cell lengths 5.715, 5.732, 8.082 Å; angles 89.96, 90.00, 90.00 degrees
Sites, in units of the cell vectors:
O 0.731 0.290 0.539
O 0.728 0.284 0.957
O 0.280 0.696 0.457
O 0.021 0.591 0.749
La 0.538 0.510 0.251
La 0.962 0.010 0.751
Sr 0.023 0.996 0.249
Sn 0.004 0.501 0.999
O 0.772 0.784 0.457
Mn 0.498 0.000 0.999
O 0.968 0.432 0.252
O 0.211 0.201 0.548
Mn 0.002 0.500 0.499
O 0.532 0.932 0.752
O 0.479 0.091 0.249
O 0.769 0.790 0.039
O 0.220 0.196 0.957
O 0.289 0.701 0.048
Sn 0.496 0.001 0.499
Sr 0.477 0.496 0.749

Values from the calculation:
DFT formation energy in eV per atom: -2.786
E (MP2020) in eV/cell: -154.693
Total moment in μB/f.u.: 4.0


[7]
Density functional theory data (PBE with a Hubbard U) for crystalline Li9Mn2Co5O16 at its relaxed geometry.

Cell lengths 3.016, 5.002, 19.443 Å; angles 94.84, 93.17, 91.21 degrees
Sites, in units of the cell vectors:
O 0.530 0.304 0.556
O 0.395 0.962 0.308
Co 0.876 0.126 0.251
O 0.354 0.292 0.193
Co 0.376 0.626 0.252
Li 0.943 0.811 0.380
O 0.103 0.540 0.690
O 0.854 0.791 0.193
Li 0.434 0.319 0.380
Li 0.317 0.938 0.127
O 0.983 0.137 0.447
O 0.605 0.038 0.692
O 0.146 0.209 0.807
Mn 0.250 0.250 0.000
O 0.017 0.863 0.553
Li 0.566 0.681 0.620
O 0.646 0.708 0.807
Li 0.183 0.562 0.873
O 0.322 0.586 0.059
O 0.178 0.914 0.941
O 0.470 0.696 0.444
Li 0.683 0.062 0.873
Mn 0.750 0.750 0.000
Li 0.057 0.189 0.620
Li 0.000 0.500 0.500
O 0.897 0.460 0.310
Co 0.624 0.374 0.748
Co 0.500 0.000 0.500
Co 0.124 0.874 0.749
O 0.822 0.086 0.059
Li 0.817 0.438 0.127
O 0.678 0.414 0.941

Values from the calculation:
DFT formation energy in eV per atom: -1.789
E (MP2020) in eV/cell: -207.470
Distance to the lowest polymorph of the same formula in meV per atom: 75
Total moment in μB/f.u.: 0.6


[8]
Density functional theory data (PBE with a Hubbard U) for crystalline EuMn4Cu3O12 at its relaxed geometry.

Cell lengths 6.445, 6.445, 6.445 Å; angles 109.47, 109.47, 109.47 degrees
Sites, in units of the cell vectors:
Mn 0.000 0.000 0.500
O 0.829 0.692 0.521
O 0.863 0.171 0.692
O 0.829 0.308 0.137
Mn 0.500 0.500 0.500
O 0.308 0.137 0.829
Cu 0.500 0.000 0.500
Cu 0.500 0.500 0.000
O 0.521 0.829 0.692
Mn 0.000 0.500 0.000
O 0.137 0.829 0.308
O 0.692 0.863 0.171
O 0.171 0.308 0.479
O 0.479 0.171 0.308
O 0.308 0.479 0.171
O 0.692 0.521 0.829
Mn 0.500 0.000 0.000
O 0.171 0.692 0.863
Cu 0.000 0.500 0.500
Eu 0.000 0.000 0.000

Values from the calculation:
DFT formation energy in eV per atom: -1.762
E (MP2020) in eV/cell: -153.824
Total moment in μB/f.u.: 21.4